# SrP2O6, optimized geometry, DFT PBE-GGA
data_SrP2O6
_symmetry_space_group_name_H-M 'P 1'
_symmetry_Int_Tables_number 1
_cell_length_a 7.3125
_cell_length_b 8.0551
_cell_length_c 17.7156
_cell_angle_alpha 90.00
_cell_angle_beta 90.56
_cell_angle_gamma 90.00
loop_
_symmetry_equiv_pos_as_xyz
'x,y,z'
loop_
_atom_site_label
_atom_site_type_symbol
_atom_site_fract_x
_atom_site_fract_y
_atom_site_fract_z
_atom_site_occupancy
Sr1 Sr 0.0166 0.1559 0.3275 1
Sr2 Sr 0.0166 0.3441 0.8275 1
Sr3 Sr 0.4808 0.6178 0.1026 1
Sr4 Sr 0.4808 0.8822 0.6026 1
Sr5 Sr 0.5192 0.1178 0.3974 1
Sr6 Sr 0.5192 0.3822 0.8974 1
Sr7 Sr 0.9834 0.6559 0.1725 1
Sr8 Sr 0.9834 0.8441 0.6725 1
P1 P 0.1385 0.1978 0.5407 1
P2 P 0.1385 0.3022 0.0407 1
P3 P 0.2303 0.0176 0.1446 1
P4 P 0.2303 0.4824 0.6446 1
P5 P 0.2573 0.7095 0.9103 1
P6 P 0.2573 0.7905 0.4103 1
P7 P 0.3696 0.5144 0.3073 1
P8 P 0.3696 0.9856 0.8073 1
P9 P 0.6304 0.0144 0.1927 1
P10 P 0.6304 0.4856 0.6927 1
P11 P 0.7427 0.2095 0.5897 1
P12 P 0.7427 0.2905 0.0897 1
P13 P 0.7697 0.5176 0.3554 1
P14 P 0.7697 0.9824 0.8554 1
P15 P 0.8615 0.6978 0.9593 1
P16 P 0.8615 0.8022 0.4593 1
O1 O 0.0755 0.0633 0.1952 1
O2 O 0.0755 0.4367 0.6952 1
O3 O 0.0764 0.7419 0.9585 1
O4 O 0.0764 0.7581 0.4585 1
O5 O 0.1775 0.0559 0.5939 1
O6 O 0.1775 0.4441 0.0939 1
O7 O 0.1902 0.1818 0.4593 1
O8 O 0.1902 0.3182 0.9593 1
O9 O 0.2302 0.5888 0.8461 1
O10 O 0.2302 0.9112 0.3461 1
O11 O 0.2340 0.1332 0.0703 1
O12 O 0.2340 0.3668 0.5703 1
O13 O 0.2390 0.6594 0.6174 1
O14 O 0.2390 0.8406 0.1174 1
O15 O 0.2888 0.6045 0.3810 1
O16 O 0.2888 0.8955 0.8810 1
O17 O 0.3018 0.5892 0.2348 1
O18 O 0.3018 0.9108 0.7348 1
O19 O 0.3404 0.1682 0.8207 1
O20 O 0.3404 0.3318 0.3207 1
O21 O 0.4097 0.6630 0.9643 1
O22 O 0.4097 0.8370 0.4643 1
O23 O 0.4171 0.0667 0.1878 1
O24 O 0.4171 0.4333 0.6878 1
O25 O 0.5829 0.5667 0.3122 1
O26 O 0.5829 0.9333 0.8122 1
O27 O 0.5903 0.1630 0.5357 1
O28 O 0.5903 0.3370 0.0357 1
O29 O 0.6596 0.6682 0.6793 1
O30 O 0.6596 0.8318 0.1793 1
O31 O 0.6982 0.0892 0.2652 1
O32 O 0.6982 0.4108 0.7652 1
O33 O 0.7112 0.1045 0.1190 1
O34 O 0.7112 0.3955 0.6190 1
O35 O 0.7610 0.1594 0.8826 1
O36 O 0.7610 0.3406 0.3826 1
O37 O 0.7660 0.6332 0.4297 1
O38 O 0.7660 0.8668 0.9297 1
O39 O 0.7698 0.0888 0.6539 1
O40 O 0.7698 0.4112 0.1539 1
O41 O 0.8098 0.6818 0.0407 1
O42 O 0.8098 0.8182 0.5407 1
O43 O 0.8225 0.5559 0.9061 1
O44 O 0.8225 0.9441 0.4061 1
O45 O 0.9236 0.2419 0.5415 1
O46 O 0.9236 0.2581 0.0415 1
O47 O 0.9245 0.5633 0.3048 1
O48 O 0.9245 0.9367 0.8048 1
# Energy of formation ... -2994 meV/atom
# Final energy ... -7.23 eV per atom